[1]
## Na5Ni2P2C2O14 (GGA+U)

Data for a geometry-optimized Na5Ni2P2C2O14 structure.

## Properties
Energy of formation from the pure elements: -2.162 eV/atom
Relative energy among the computed polymorphs: 0.0 meV/atom
Theoretical density: 2.92 g/cm³
Size of the total moment: 6.00 Bohr magnetons per cell

abc: 8.9379 6.6350 10.3980
angles: 90.00 91.19 90.00
With the nearest neighbours (Å) after each atom.
Element x y z (fractional)
Na 0.0864 0.2500 0.3561  5 O 2.39-2.52
Na 0.2566 0.0062 0.1168  5 O 2.33-2.58
Na 0.2566 0.4938 0.1168  5 O 2.33-2.58
Na 0.2648 0.0131 0.6331  6 O 2.34-2.54
Na 0.2648 0.4869 0.6331  6 O 2.34-2.54
Na 0.7352 0.5131 0.3669  6 O 2.34-2.54
Na 0.7352 0.9869 0.3669  6 O 2.34-2.54
Na 0.7434 0.5062 0.8832  5 O 2.33-2.58
Na 0.7434 0.9938 0.8832  5 O 2.33-2.58
Na 0.9136 0.7500 0.6439  5 O 2.39-2.52
Ni 0.3489 0.7500 0.3598  6 O 2.05-2.19
Ni 0.3549 0.7500 0.8581  6 O 2.00-2.19
Ni 0.6451 0.2500 0.1419  6 O 2.00-2.19
Ni 0.6511 0.2500 0.6402  6 O 2.05-2.19
P 0.4170 0.2500 0.3943  4 O 1.54-1.57
P 0.4232 0.2500 0.8929  4 O 1.55-1.57
P 0.5768 0.7500 0.1071  4 O 1.55-1.57
P 0.5830 0.7500 0.6057  4 O 1.54-1.57
C 0.0681 0.7500 0.3959  3 O 1.28-1.31
C 0.0730 0.7500 0.8837  3 O 1.27-1.32
C 0.9270 0.2500 0.1163  3 O 1.27-1.32
C 0.9319 0.2500 0.6041  3 O 1.28-1.31
O 0.0693 0.2500 0.1137  1 C 1.27
O 0.0731 0.2500 0.5852  1 C 1.28
O 0.1258 0.7500 0.2830  1 C 1.29
O 0.1407 0.7500 0.7726  1 C 1.32
O 0.1611 0.7500 0.9840  1 C 1.29
O 0.1629 0.7500 0.4939  1 C 1.31
O 0.3192 0.0636 0.3572  1 P 1.56
O 0.3192 0.4364 0.3572  1 P 1.56
O 0.3299 0.0617 0.8558  1 P 1.55
O 0.3299 0.4383 0.8558  1 P 1.55
O 0.4235 0.7500 0.1744  1 P 1.55
O 0.4326 0.7500 0.6758  1 P 1.54
O 0.4491 0.2500 0.5430  1 P 1.57
O 0.4507 0.2500 0.0427  1 P 1.57
O 0.5493 0.7500 0.9573  1 P 1.57
O 0.5509 0.7500 0.4570  1 P 1.57
O 0.5674 0.2500 0.3242  1 P 1.54
O 0.5765 0.2500 0.8256  1 P 1.55
O 0.6701 0.5617 0.1442  1 P 1.55
O 0.6701 0.9383 0.1442  1 P 1.55
O 0.6808 0.5636 0.6428  1 P 1.56
O 0.6808 0.9364 0.6428  1 P 1.56
O 0.8371 0.2500 0.5061  1 C 1.31
O 0.8389 0.2500 0.0160  1 C 1.29
O 0.8593 0.2500 0.2274  1 C 1.32
O 0.8742 0.2500 0.7170  1 C 1.29
O 0.9269 0.7500 0.4148  1 C 1.28
O 0.9307 0.7500 0.8863  1 C 1.27



[2]
## Na5Ni2P2C2O14 (GGA+U)

Data for a geometry-optimized Na5Ni2P2C2O14 structure.

## Properties
Energy of formation from the pure elements: -2.139 eV/atom
Relative energy among the computed polymorphs: 22.1 meV/atom
Theoretical density: 2.93 g/cm³
Size of the total moment: 8.00 Bohr magnetons per cell

abc: 6.6390 8.8865 10.4353
angles: 88.50 89.91 89.79
With the nearest neighbours (Å) after each atom.
Element x y z (fractional)
Na 0.0000 0.0000 0.0000  4 O 2.35-2.46
Na 0.9995 0.0014 0.5103  4 O 2.34-2.47
Na 0.2359 0.1920 0.7406  5 O 2.30-2.46
Na 0.2560 0.1767 0.2425  5 O 2.31-2.49
Na 0.2696 0.6439 0.4815  5 O 2.34-2.57
Na 0.2703 0.6477 0.9945  5 O 2.30-2.51
Na 0.5192 0.8334 0.7259  4 O 2.30-2.47
Na 0.7483 0.6435 0.4800  5 O 2.33-2.55
Na 0.7490 0.6468 0.9963  5 O 2.32-2.51
Na 0.7669 0.1787 0.2454  5 O 2.32-2.54
Ni 0.0075 0.5661 0.7259  6 O 2.00-2.17
Ni 0.0113 0.5682 0.2259  6 O 2.01-2.16
Ni 0.5143 0.2598 0.5093  6 O 2.00-2.20
Ni 0.5143 0.2609 0.0013  6 O 2.02-2.14
P 0.0103 0.3326 0.4712  4 O 1.54-1.57
P 0.0111 0.3346 0.9760  4 O 1.55-1.56
P 0.5100 0.4925 0.2562  4 O 1.55-1.56
P 0.5099 0.4940 0.7555  4 O 1.53-1.57
C 0.0098 0.8493 0.2578  3 O 1.28-1.31
C 0.0155 0.8465 0.7595  3 O 1.27-1.31
C 0.5065 0.9778 0.4727  3 O 1.27-1.30
C 0.5075 0.9803 0.9718  3 O 1.28-1.30
O 0.0068 0.7515 0.8575  1 C 1.31
O 0.0079 0.4815 0.5442  1 P 1.54
O 0.0078 0.7879 0.6455  1 C 1.31
O 0.0091 0.7541 0.3556  1 C 1.31
O 0.0090 0.7920 0.1442  1 C 1.30
O 0.0110 0.9918 0.2738  1 C 1.28
O 0.0125 0.4847 0.0481  1 P 1.55
O 0.0164 0.3743 0.8304  1 P 1.55
O 0.0186 0.3700 0.3235  1 P 1.57
O 0.0303 0.9874 0.7735  1 C 1.27
O 0.1953 0.2325 0.5082  1 P 1.56
O 0.1969 0.2336 0.0110  1 P 1.56
O 0.3232 0.5901 0.2198  1 P 1.55
O 0.3244 0.5973 0.7228  1 P 1.57
O 0.5002 0.0751 0.8751  1 C 1.30
O 0.5023 0.0370 0.5855  1 C 1.30
O 0.5028 0.3463 0.6837  1 P 1.53
O 0.5093 0.4586 0.4039  1 P 1.56
O 0.5086 0.8354 0.4614  1 C 1.27
O 0.5093 0.8378 0.9561  1 C 1.28
O 0.5103 0.0726 0.3758  1 C 1.30
O 0.5100 0.3421 0.1842  1 P 1.55
O 0.5106 0.4599 0.9041  1 P 1.57
O 0.5153 0.0415 0.0835  1 C 1.30
O 0.6955 0.5937 0.7197  1 P 1.56
O 0.6978 0.5882 0.2200  1 P 1.55
O 0.8219 0.2334 0.4961  1 P 1.55
O 0.8255 0.2369 0.0138  1 P 1.55